# Nd2CoNiO6 (PBE+U, relaxed)
data_Nd2CoNiO6
_chemical_formula_sum 'Nd4 Co2 Ni2 O12'
_symmetry_space_group_name_H-M 'P 1 21/c 1'
_symmetry_Int_Tables_number 14
_cell_length_a 5.428
_cell_length_b 5.620
_cell_length_c 9.396
_cell_angle_alpha 90.00
_cell_angle_beta 125.13
_cell_angle_gamma 90.00
loop_
_symmetry_equiv_pos_as_xyz
'x,y,z'
'-x,-y,-z'
'-x,y+1/2,-z+1/2'
'x,-y+1/2,z+1/2'
loop_
_atom_site_label
_atom_site_type_symbol
_atom_site_fract_x
_atom_site_fract_y
_atom_site_fract_z
_atom_site_occupancy
Nd1 Nd 0.236 0.055 0.250 1
Co1 Co 0.500 0.000 0.000 1
Ni1 Ni 0.000 0.000 0.500 1
O1 O 0.176 0.200 0.958 1
O2 O 0.246 0.708 0.954 1
O3 O 0.339 0.020 0.757 1
# Magnetic moment   0.30 μB per atom
# E (MP2020)   -7.7341 eV/atom
# E_form   -2.52 eV per atom

=====

# NdCoO3 (PBE+U, relaxed)
data_NdCoO3
_chemical_formula_sum 'Nd1 Co1 O3'
_symmetry_space_group_name_H-M 'P m -3 m'
_symmetry_Int_Tables_number 221
_symmetry_space_group_name_Hall '-P 4 2 3'
_cell_length_a 3.802
_cell_length_b 3.802
_cell_length_c 3.802
_cell_angle_alpha 90.00
_cell_angle_beta 90.00
_cell_angle_gamma 90.00
loop_
_atom_site_label
_atom_site_type_symbol
_atom_site_fract_x
_atom_site_fract_y
_atom_site_fract_z
_atom_site_occupancy
Nd1 Nd 0.000 0.000 0.000 1
Co1 Co 0.500 0.500 0.500 1
O1 O 0.000 0.500 0.500 1
# Magnetic moment   0.00 μB per atom
# E (MP2020)   -7.7919 eV/atom
# E_form   -2.45 eV per atom